Compound: MgCr2P2O10
Source: the Materials Project
Functional: PBE+U
Structure: relaxed

Cell: 6.1245 6.1245 5.4501 Å, 90.00 90.00 90.00°
Positions (direct):
1 Mg 0.0000 0.0000 0.0000
2 Cr 0.0000 0.5000 0.2697
3 Cr 0.5000 0.0000 0.7303
4 P 0.0000 0.0000 0.5000
5 P 0.5000 0.5000 0.5000
6 O 0.0000 0.5000 0.9642
7 O 0.0619 0.1809 0.3126
8 O 0.1809 0.9381 0.6874
9 O 0.2982 0.5639 0.3444
10 O 0.4361 0.2982 0.6556
11 O 0.5000 0.0000 0.0358
12 O 0.5639 0.7018 0.6556
13 O 0.7018 0.4361 0.3444
14 O 0.8191 0.0619 0.6874
15 O 0.9381 0.8191 0.3126

Computed properties:
energy of formation = -2.324 eV/atom
magnetization = 4.00 μB/f.u.
SG = P-4 (81)
corrected total energy (MP2020 scheme) = -7.74 eV per atom
energy above the most stable polymorph in this dataset = 0.165 eV per atom



Compound: MgCr4P4O16
Source: the Materials Project
Functional: PBE+U
Structure: relaxed

Cell: 5.7269 6.5378 9.5784 Å, 70.50 78.49 79.54°
Positions (direct):
1 Mg 0.0000 0.0000 0.0000
2 Cr 0.1317 0.4553 0.0000
3 Cr 0.3083 0.5517 0.3811
4 Cr 0.7221 0.2010 0.2677
5 Cr 0.8798 0.2889 0.6228
6 P 0.1899 0.0867 0.3619
7 P 0.3047 0.2127 0.7382
8 P 0.7054 0.5212 0.8871
9 P 0.8357 0.6718 0.2592
10 O 0.0558 0.6585 0.1317
11 O 0.1009 0.0573 0.7710
12 O 0.1088 0.1803 0.2008
13 O 0.1866 0.4142 0.6208
14 O 0.2891 0.2335 0.8985
15 O 0.3008 0.8520 0.3924
16 O 0.3741 0.2325 0.3656
17 O 0.4467 0.5861 0.9543
18 O 0.5616 0.1418 0.6773
19 O 0.6450 0.5376 0.2519
20 O 0.7065 0.4787 0.7392
21 O 0.7546 0.9201 0.2086
22 O 0.8256 0.3067 0.0021
23 O 0.8891 0.6775 0.8773
24 O 0.9130 0.5787 0.4157
25 O 0.9601 0.1240 0.4715

Computed properties:
energy of formation = -2.516 eV/atom
magnetization = 14.00 μB/f.u.
SG = P1 (1)
corrected total energy (MP2020 scheme) = -8.16 eV per atom



Compound: MgCr2P2O10
Source: the Materials Project
Functional: PBE+U
Structure: relaxed

Cell: 6.6875 6.6875 9.7403 Å, 119.34 119.34 64.65°
Positions (direct):
1 Mg 0.0000 0.0000 0.0000
2 Mg 0.7500 0.2500 0.5000
3 Cr 0.3763 0.6229 0.2505
4 Cr 0.3771 0.6237 0.7495
5 Cr 0.3776 0.1241 0.7505
6 Cr 0.8759 0.6224 0.2495
7 P 0.2088 0.2057 0.4154
8 P 0.5435 0.0402 0.0846
9 P 0.7943 0.7912 0.5846
10 P 0.9598 0.4565 0.9154
11 O 0.0356 0.6896 0.7008
12 O 0.0847 0.2389 0.7992
13 O 0.0976 0.6550 0.0303
14 O 0.1252 0.1827 0.5303
15 O 0.1726 0.6674 0.3407
16 O 0.3104 0.9644 0.2992
17 O 0.3326 0.8274 0.6593
18 O 0.3450 0.9024 0.9697
19 O 0.4058 0.3455 0.5293
20 O 0.4234 0.4201 0.8407
21 O 0.4460 0.2801 0.2042
22 O 0.5799 0.5766 0.1593
23 O 0.6266 0.0662 0.9707
24 O 0.6545 0.5942 0.4707
25 O 0.6742 0.0081 0.7042
26 O 0.7199 0.5540 0.7958
27 O 0.7611 0.9153 0.2008
28 O 0.8173 0.8748 0.4697
29 O 0.9338 0.3734 0.0293
30 O 0.9919 0.3258 0.2958

Computed properties:
energy of formation = -2.456 eV/atom
magnetization = 4.00 μB/f.u.
SG = C2 (5)
corrected total energy (MP2020 scheme) = -7.87 eV per atom
energy above the most stable polymorph in this dataset = 0.033 eV per atom



Compound: MgCr2P2O10
Source: the Materials Project
Functional: PBE+U
Structure: relaxed

Cell: 5.5169 5.9047 6.3535 Å, 87.74 89.92 89.92°
Positions (direct):
1 Mg 0.0000 0.0000 0.0000
2 Cr 0.2194 0.3229 0.2217
3 Cr 0.6748 0.7975 0.6990
4 P 0.4047 0.3039 0.7053
5 P 0.4882 0.8081 0.2078
6 O 0.2359 0.2461 0.8951
7 O 0.2518 0.3794 0.5125
8 O 0.3053 0.0051 0.2411
9 O 0.3169 0.6180 0.1348
10 O 0.5529 0.0918 0.6481
11 O 0.5781 0.4955 0.7680
12 O 0.6398 0.7444 0.4006
13 O 0.6645 0.8668 0.0224
14 O 0.9221 0.2709 0.1909
15 O 0.9772 0.8310 0.7295

Computed properties:
energy of formation = -2.372 eV/atom
magnetization = 4.00 μB/f.u.
SG = P1 (1)
corrected total energy (MP2020 scheme) = -7.79 eV per atom
energy above the most stable polymorph in this dataset = 0.118 eV per atom



Compound: MgCrPO5
Source: the Materials Project
Functional: PBE+U
Structure: relaxed

Cell: 5.2988 5.2988 7.0549 Å, 105.18 105.18 101.50°
Positions (direct):
1 Mg 0.1695 0.8305 0.7500
2 Mg 0.8305 0.1695 0.2500
3 Cr 0.5000 0.5000 0.0000
4 Cr 0.5000 0.5000 0.5000
5 P 0.1700 0.8300 0.2500
6 P 0.8300 0.1700 0.7500
7 O 0.1240 0.2137 0.8989
8 O 0.1754 0.6224 0.3669
9 O 0.2137 0.1240 0.3989
10 O 0.3776 0.8246 0.1331
11 O 0.4072 0.5928 0.7500
12 O 0.5928 0.4072 0.2500
13 O 0.6224 0.1754 0.8669
14 O 0.7863 0.8760 0.6011
15 O 0.8246 0.3776 0.6331
16 O 0.8760 0.7863 0.1011

Computed properties:
energy of formation = -2.687 eV/atom
magnetization = 3.00 μB/f.u.
SG = C2/c (15)
corrected total energy (MP2020 scheme) = -7.86 eV per atom



Compound: MgCr2P2O10
Source: the Materials Project
Functional: PBE+U
Structure: relaxed

Cell: 5.2564 5.3532 6.9469 Å, 106.68 105.92 99.72°
Positions (direct):
1 Mg 0.0000 0.0000 0.0000
2 Cr 0.7163 0.3582 0.7510
3 Cr 0.7169 0.3770 0.2566
4 P 0.0518 0.0153 0.5042
5 P 0.3937 0.7087 0.0043
6 O 0.0002 0.7134 0.3738
7 O 0.0907 0.6296 0.8524
8 O 0.3495 0.1255 0.6560
9 O 0.4190 0.0094 0.1330
10 O 0.4198 0.5197 0.1357
11 O 0.6140 0.7004 0.8933
12 O 0.6603 0.4164 0.4966
13 O 0.8033 0.2876 0.0122
14 O 0.8704 0.0492 0.6502
15 O 0.9895 0.1587 0.3347

Computed properties:
energy of formation = -2.490 eV/atom
magnetization = 4.00 μB/f.u.
SG = P1 (1)
corrected total energy (MP2020 scheme) = -7.90 eV per atom
energy above the most stable polymorph in this dataset = 0.000 eV per atom



Compound: MgCr2P2O10
Source: the Materials Project
Functional: PBE+U
Structure: relaxed

Cell: 5.1253 5.3704 7.0623 Å, 109.43 108.85 93.56°
Positions (direct):
1 Mg 0.0000 0.0000 0.0000
2 Cr 0.0028 0.4985 0.4961
3 Cr 0.9992 0.4996 0.9968
4 P 0.3625 0.1460 0.7309
5 P 0.6384 0.8533 0.2678
6 O 0.0468 0.3820 0.2267
7 O 0.2322 0.2288 0.9107
8 O 0.2499 0.8514 0.5856
9 O 0.3140 0.8220 0.1597
10 O 0.3165 0.3474 0.6148
11 O 0.6869 0.1787 0.8420
12 O 0.6881 0.6545 0.3863
13 O 0.7552 0.1480 0.4121
14 O 0.7648 0.7682 0.0854
15 O 0.9558 0.6174 0.7722

Computed properties:
energy of formation = -2.467 eV/atom
magnetization = 4.00 μB/f.u.
SG = P1 (1)
corrected total energy (MP2020 scheme) = -7.88 eV per atom
energy above the most stable polymorph in this dataset = 0.022 eV per atom



Compound: MgCr4Pb4O16
Source: the Materials Project
Functional: PBE+U
Structure: relaxed

Cell: 7.1793 7.5507 7.6086 Å, 90.56 90.14 103.11°
Positions (direct):
1 Mg 0.0000 0.0000 0.0000
2 Cr 0.2334 0.1980 0.7402
3 Cr 0.4686 0.7796 0.4211
4 Cr 0.7336 0.6572 0.9046
5 Cr 0.9658 0.2732 0.2327
6 Pb 0.2681 0.6562 0.9659
7 Pb 0.4149 0.2460 0.2239
8 Pb 0.7429 0.1989 0.6814
9 Pb 0.9678 0.8112 0.4746
10 O 0.0131 0.0222 0.7151
11 O 0.0693 0.0834 0.2762
12 O 0.1593 0.3905 0.7651
13 O 0.1798 0.4308 0.1810
14 O 0.2788 0.1127 0.9497
15 O 0.2996 0.7563 0.5736
16 O 0.3807 0.8513 0.2367
17 O 0.4059 0.1866 0.5938
18 O 0.5326 0.5886 0.3826
19 O 0.5593 0.4967 0.9885
20 O 0.6430 0.8351 0.8707
21 O 0.6736 0.9333 0.4839
22 O 0.8075 0.5846 0.7170
23 O 0.8446 0.1954 0.0443
24 O 0.8490 0.3330 0.4061
25 O 0.9305 0.7294 0.0392

Computed properties:
energy of formation = -1.793 eV/atom
magnetization = 2.01 μB/f.u.
SG = P1 (1)
corrected total energy (MP2020 scheme) = -7.16 eV per atom
energy above the most stable polymorph in this dataset = 0.000 eV per atom



Compound: MgCr4Pb4O16
Source: the Materials Project
Functional: PBE+U
Structure: relaxed

Cell: 7.0466 7.5407 7.7934 Å, 89.63 82.69 88.49°
Positions (direct):
1 Mg 0.0000 0.0000 0.0000
2 Cr 0.2413 0.2453 0.2637
3 Cr 0.4799 0.5550 0.6773
4 Cr 0.7268 0.0437 0.7851
5 Cr 0.9555 0.7250 0.2318
6 Pb 0.3278 0.0483 0.6505
7 Pb 0.4733 0.7701 0.1371
8 Pb 0.7375 0.2715 0.2989
9 Pb 0.9542 0.5711 0.6931
10 O 0.0255 0.7198 0.4308
11 O 0.0593 0.2917 0.4179
12 O 0.1513 0.1967 0.0828
13 O 0.1517 0.7867 0.0742
14 O 0.3157 0.4001 0.7029
15 O 0.3672 0.0687 0.3299
16 O 0.3787 0.7373 0.6022
17 O 0.3932 0.4099 0.2358
18 O 0.5121 0.9820 0.9025
19 O 0.5647 0.5981 0.8608
20 O 0.6579 0.0988 0.5853
21 O 0.6742 0.4902 0.5388
22 O 0.8113 0.9170 0.1996
23 O 0.8227 0.2000 0.9004
24 O 0.8410 0.5522 0.1602
25 O 0.9091 0.8786 0.7823

Computed properties:
energy of formation = -1.779 eV/atom
magnetization = 0.00 μB/f.u.
SG = P1 (1)
corrected total energy (MP2020 scheme) = -7.15 eV per atom
energy above the most stable polymorph in this dataset = 0.014 eV per atom



Compound: MgCr4Pb4O16
Source: the Materials Project
Functional: PBE+U
Structure: relaxed

Cell: 7.0158 7.4695 8.1538 Å, 92.56 90.73 104.22°
Positions (direct):
1 Mg 0.0000 0.0000 0.0000
2 Cr 0.0451 0.2007 0.7309
3 Cr 0.3080 0.0869 0.2807
4 Cr 0.5490 0.6739 0.9317
5 Cr 0.8187 0.5700 0.4328
6 Pb 0.0116 0.5658 0.0008
7 Pb 0.3321 0.5600 0.4681
8 Pb 0.4856 0.1222 0.7253
9 Pb 0.7527 0.0777 0.3223
10 O 0.1244 0.9115 0.1823
11 O 0.1249 0.0037 0.7810
12 O 0.1936 0.2521 0.3492
13 O 0.2575 0.3558 0.6890
14 O 0.3675 0.6053 0.0627
15 O 0.4342 0.0086 0.4470
16 O 0.4634 0.7543 0.7654
17 O 0.4859 0.1480 0.1429
18 O 0.6207 0.4150 0.4954
19 O 0.6493 0.5007 0.8815
20 O 0.7313 0.8441 0.0215
21 O 0.7416 0.7582 0.3987
22 O 0.8374 0.1451 0.6125
23 O 0.9008 0.4803 0.2602
24 O 0.9744 0.2494 0.9349
25 O 0.9990 0.6074 0.5721

Computed properties:
energy of formation = -1.764 eV/atom
magnetization = 2.01 μB/f.u.
SG = P1 (1)
corrected total energy (MP2020 scheme) = -7.13 eV per atom
energy above the most stable polymorph in this dataset = 0.029 eV per atom



Compound: MgCr4Pb4O16
Source: the Materials Project
Functional: PBE+U
Structure: relaxed

Cell: 6.9826 7.3711 7.9433 Å, 89.78 89.54 76.54°
Positions (direct):
1 Mg 0.0000 0.0000 0.0000
2 Cr 0.1184 0.6749 0.1735
3 Cr 0.3781 0.7999 0.6704
4 Cr 0.6219 0.2001 0.3296
5 Cr 0.8816 0.3251 0.8265
6 Pb 0.1038 0.2246 0.3955
7 Pb 0.4088 0.2870 0.8840
8 Pb 0.5912 0.7130 0.1160
9 Pb 0.8962 0.7754 0.6045
10 O 0.0179 0.6139 0.3550
11 O 0.0706 0.2490 0.9764
12 O 0.1839 0.9623 0.5987
13 O 0.1889 0.8872 0.1856
14 O 0.2906 0.6143 0.7100
15 O 0.3220 0.5225 0.0970
16 O 0.4398 0.2437 0.4717
17 O 0.4569 0.8783 0.8494
18 O 0.5431 0.1217 0.1506
19 O 0.5602 0.7563 0.5283
20 O 0.6780 0.4775 0.9030
21 O 0.7094 0.3857 0.2900
22 O 0.8111 0.1128 0.8144
23 O 0.8161 0.0377 0.4013
24 O 0.9294 0.7510 0.0236
25 O 0.9821 0.3861 0.6450

Computed properties:
energy of formation = -1.786 eV/atom
magnetization = 2.01 μB/f.u.
SG = P-1 (2)
corrected total energy (MP2020 scheme) = -7.16 eV per atom
energy above the most stable polymorph in this dataset = 0.007 eV per atom



Compound: Pr2MgCr2O8
Source: the Materials Project
Functional: PBE+U
Structure: relaxed

Cell: 6.2887 6.2887 6.3137 Å, 105.22 105.22 117.07°
Positions (direct):
1 Pr 0.0000 0.0000 0.0000
2 Pr 0.7723 0.2277 0.5000
3 Mg 0.4817 0.5183 0.5000
4 Cr 0.2272 0.7728 0.5000
5 Cr 0.4963 0.5037 0.0000
6 O 0.0349 0.7441 0.6637
7 O 0.1078 0.4151 0.3452
8 O 0.1435 0.3230 0.8303
9 O 0.2559 0.9651 0.3363
10 O 0.5094 0.3472 0.2053
11 O 0.5849 0.8922 0.6548
12 O 0.6528 0.4906 0.7947
13 O 0.6770 0.8565 0.1697

Computed properties:
energy of formation = -2.800 eV/atom
magnetization = 4.00 μB/f.u.
SG = C2 (5)
corrected total energy (MP2020 scheme) = -8.19 eV per atom



Compound: MgCrPtO2
Source: the Materials Project
Functional: PBE+U
Structure: relaxed

Cell: 2.9640 2.9640 8.3085 Å, 100.31 100.31 59.99°
Positions (direct):
1 Mg 0.0000 0.0000 0.0000
2 Cr 0.7773 0.7773 0.3276
3 Pt 0.2504 0.2504 0.7529
4 O 0.1489 0.1489 0.4420
5 O 0.3913 0.3913 0.1705

Computed properties:
energy of formation = -1.697 eV/atom
magnetization = 3.01 μB/f.u.
SG = Cm (8)
corrected total energy (MP2020 scheme) = -7.14 eV per atom
energy above the most stable polymorph in this dataset = 0.000 eV per atom



Compound: MgCrPtO2
Source: the Materials Project
Functional: PBE+U
Structure: relaxed

Cell: 2.9513 2.9539 8.3593 Å, 80.25 80.03 60.09°
Positions (direct):
1 Mg 0.0000 0.0000 0.0000
2 Cr 0.8878 0.8749 0.3353
3 Pt 0.4154 0.4138 0.7553
4 O 0.2743 0.2596 0.1771
5 O 0.5162 0.5056 0.4496

Computed properties:
energy of formation = -1.666 eV/atom
magnetization = 3.01 μB/f.u.
SG = P1 (1)
corrected total energy (MP2020 scheme) = -7.11 eV per atom
energy above the most stable polymorph in this dataset = 0.031 eV per atom



Compound: RbMg6CrO8
Source: the Materials Project
Functional: PBE+U
Structure: relaxed

Cell: 4.5009 4.5009 8.8552 Å, 90.00 90.00 90.00°
Positions (direct):
1 Rb 0.0000 0.0000 0.0000
2 Mg 0.0000 0.5000 0.2552
3 Mg 0.0000 0.5000 0.7448
4 Mg 0.5000 0.0000 0.2552
5 Mg 0.5000 0.0000 0.7448
6 Mg 0.5000 0.5000 0.0000
7 Mg 0.5000 0.5000 0.5000
8 Cr 0.0000 0.0000 0.5000
9 O 0.0000 0.0000 0.2796
10 O 0.0000 0.0000 0.7204
11 O 0.0000 0.5000 0.0000
12 O 0.0000 0.5000 0.5000
13 O 0.5000 0.0000 0.0000
14 O 0.5000 0.0000 0.5000
15 O 0.5000 0.5000 0.2521
16 O 0.5000 0.5000 0.7479

Computed properties:
energy of formation = -2.392 eV/atom
magnetization = 4.11 μB/f.u.
SG = P4/mmm (123)
corrected total energy (MP2020 scheme) = -6.13 eV per atom
energy above the most stable polymorph in this dataset = 0.000 eV per atom



Compound: RbMg6CrO8
Source: the Materials Project
Functional: PBE+U
Structure: relaxed

Cell: 4.5004 4.5004 8.8430 Å, 90.00 90.00 90.00°
Positions (direct):
1 Rb 0.0000 0.0000 0.0000
2 Mg 0.0000 0.0000 0.5000
3 Mg 0.0000 0.5000 0.2604
4 Mg 0.0000 0.5000 0.7396
5 Mg 0.5000 0.0000 0.2604
6 Mg 0.5000 0.0000 0.7396
7 Mg 0.5000 0.5000 0.5000
8 Cr 0.5000 0.5000 0.0000
9 O 0.0000 0.0000 0.2810
10 O 0.0000 0.0000 0.7190
11 O 0.0000 0.5000 0.0000
12 O 0.0000 0.5000 0.5000
13 O 0.5000 0.0000 0.0000
14 O 0.5000 0.0000 0.5000
15 O 0.5000 0.5000 0.2432
16 O 0.5000 0.5000 0.7568

Computed properties:
energy of formation = -2.378 eV/atom
magnetization = 3.00 μB/f.u.
SG = P4/mmm (123)
corrected total energy (MP2020 scheme) = -6.12 eV per atom
energy above the most stable polymorph in this dataset = 0.014 eV per atom